Entry 1:
ZnHg3Se3Br2: relaxed, GGA-PBE.

Computed properties:
DFT total energy: -2.0477 eV per atom
magnetization: 0.00 μB/cell
space-group type: P-1

a b c (Å): 7.6734 9.6698 9.9412
angles (deg): 108.74 107.22 102.33
Last column: nearest neighbours and their distance in Å.
Sites, in units of the cell vectors:
Zn  0.0880  0.1840  0.1388  4 Se 2.46-2.63
Zn  0.9120  0.8160  0.8612  4 Se 2.46-2.63
Hg  0.0000  0.0000  0.5000  2 Br 2.59
Hg  0.0000  0.5000  0.0000  2 Se 2.52
Hg  0.0000  0.5000  0.5000  2 Se 2.54
Hg  0.5000  0.0000  0.0000  2 Se 2.54
Hg  0.5000  0.0000  0.5000  2 Br 2.48
Hg  0.5000  0.5000  0.0000  2 Se 2.58
Se  0.1506  0.2952  0.4154  1 Zn 2.46, 1 Hg 2.54
Se  0.2271  0.9650  0.0944  2 Zn 2.52-2.54, 1 Hg 2.54
Se  0.2876  0.4463  0.1480  2 Hg 2.52-2.58, 1 Zn 2.63
Se  0.7124  0.5537  0.8520  2 Hg 2.52-2.58, 1 Zn 2.63
Se  0.7729  0.0350  0.9056  2 Zn 2.52-2.54, 1 Hg 2.54
Se  0.8494  0.7048  0.5846  1 Zn 2.46, 1 Hg 2.54
Br  0.2027  0.7705  0.3923  1 Hg 2.48
Br  0.3175  0.1422  0.7463  1 Hg 2.59
Br  0.6825  0.8578  0.2537  1 Hg 2.59
Br  0.7973  0.2295  0.6077  1 Hg 2.48

Entry 2:
Hg3TeBr4: relaxed, GGA-PBE.

Computed properties:
DFT total energy: -1.7469 eV per atom
magnetization: 0.00 μB/cell
space-group type: Pbca

a b c (Å): 13.0307 13.2538 13.3847
angles (deg): 90.00 90.00 90.00
Last column: nearest neighbours and their distance in Å.
Sites, in units of the cell vectors:
Hg  0.1195  0.0893  0.1886  1 Br 2.60, 1 Te 2.73
Hg  0.1195  0.4107  0.6886  1 Br 2.60, 1 Te 2.73
Hg  0.1802  0.6909  0.7652  2 Br 2.59-2.80, 1 Te 2.74
Hg  0.1802  0.8091  0.2652  2 Br 2.59-2.80, 1 Te 2.74
Hg  0.2309  0.0969  0.4871  1 Br 2.54, 1 Te 2.72
Hg  0.2309  0.4031  0.9871  1 Br 2.54, 1 Te 2.72
Hg  0.2691  0.5969  0.4871  1 Br 2.54, 1 Te 2.72
Hg  0.2691  0.9031  0.9871  1 Br 2.54, 1 Te 2.72
Hg  0.3198  0.1909  0.7652  2 Br 2.59-2.80, 1 Te 2.74
Hg  0.3198  0.3091  0.2652  2 Br 2.59-2.80, 1 Te 2.74
Hg  0.3805  0.5893  0.1886  1 Br 2.60, 1 Te 2.73
Hg  0.3805  0.9107  0.6886  1 Br 2.60, 1 Te 2.73
Hg  0.6195  0.0893  0.3114  1 Br 2.60, 1 Te 2.73
Hg  0.6195  0.4107  0.8114  1 Br 2.60, 1 Te 2.73
Hg  0.6802  0.6909  0.7348  2 Br 2.59-2.80, 1 Te 2.74
Hg  0.6802  0.8091  0.2348  2 Br 2.59-2.80, 1 Te 2.74
Hg  0.7309  0.0969  0.0129  1 Br 2.54, 1 Te 2.72
Hg  0.7309  0.4031  0.5129  1 Br 2.54, 1 Te 2.72
Hg  0.7691  0.5969  0.0129  1 Br 2.54, 1 Te 2.72
Hg  0.7691  0.9031  0.5129  1 Br 2.54, 1 Te 2.72
Hg  0.8198  0.1909  0.7348  2 Br 2.59-2.80, 1 Te 2.74
Hg  0.8198  0.3091  0.2348  2 Br 2.59-2.80, 1 Te 2.74
Hg  0.8805  0.5893  0.3114  1 Br 2.60, 1 Te 2.73
Hg  0.8805  0.9107  0.8114  1 Br 2.60, 1 Te 2.73
Te  0.0973  0.5961  0.6026  3 Hg 2.72-2.74
Te  0.0973  0.9039  0.1026  3 Hg 2.72-2.74
Te  0.4027  0.0961  0.6026  3 Hg 2.72-2.74
Te  0.4027  0.4039  0.1026  3 Hg 2.72-2.74
Te  0.5973  0.5961  0.8974  3 Hg 2.72-2.74
Te  0.5973  0.9039  0.3974  3 Hg 2.72-2.74
Te  0.9027  0.0961  0.8974  3 Hg 2.72-2.74
Te  0.9027  0.4039  0.3974  3 Hg 2.72-2.74
Br  0.0579  0.0849  0.3998  1 Hg 2.54
Br  0.0579  0.4151  0.8998  1 Hg 2.54
Br  0.0956  0.2165  0.6763  1 Hg 2.60
Br  0.0956  0.2835  0.1763  1 Hg 2.60
Br  0.1681  0.5981  0.2714  2 Hg 2.80-2.98
Br  0.1681  0.9019  0.7714  2 Hg 2.80-2.98
Br  0.2381  0.6650  0.9483  1 Hg 2.59
Br  0.2381  0.8350  0.4483  1 Hg 2.59
Br  0.2619  0.1650  0.9483  1 Hg 2.59
Br  0.2619  0.3350  0.4483  1 Hg 2.59
Br  0.3319  0.0981  0.2714  2 Hg 2.80-2.98
Br  0.3319  0.4019  0.7714  2 Hg 2.80-2.98
Br  0.4044  0.7165  0.6763  1 Hg 2.60
Br  0.4044  0.7835  0.1763  1 Hg 2.60
Br  0.4421  0.5849  0.3998  1 Hg 2.54
Br  0.4421  0.9151  0.8998  1 Hg 2.54
Br  0.5579  0.0849  0.1002  1 Hg 2.54
Br  0.5579  0.4151  0.6002  1 Hg 2.54
Br  0.5956  0.2165  0.8237  1 Hg 2.60
Br  0.5956  0.2835  0.3237  1 Hg 2.60
Br  0.6681  0.5981  0.2286  2 Hg 2.80-2.98
Br  0.6681  0.9019  0.7286  2 Hg 2.80-2.98
Br  0.7381  0.6650  0.5517  1 Hg 2.59
Br  0.7381  0.8350  0.0517  1 Hg 2.59
Br  0.7619  0.1650  0.5517  1 Hg 2.59
Br  0.7619  0.3350  0.0517  1 Hg 2.59
Br  0.8319  0.0981  0.2286  2 Hg 2.80-2.98
Br  0.8319  0.4019  0.7286  2 Hg 2.80-2.98
Br  0.9044  0.7165  0.8237  1 Hg 2.60
Br  0.9044  0.7835  0.3237  1 Hg 2.60
Br  0.9421  0.5849  0.1002  1 Hg 2.54
Br  0.9421  0.9151  0.6002  1 Hg 2.54

Entry 3:
Hg3Te2Br2: relaxed, GGA-PBE.

Computed properties:
DFT total energy: -1.8380 eV per atom
space-group type: I2_13
maximum piezoelectric response: 0.53 C/m²

a b c (Å): 8.5906 8.5906 8.5906
angles (deg): 109.47 109.47 109.47
Last column: nearest neighbours and their distance in Å.
Sites, in units of the cell vectors:
Hg  0.1861  0.7500  0.9361  2 Te 2.74
Hg  0.2500  0.5639  0.3139  2 Te 2.74
Hg  0.3139  0.2500  0.5639  2 Te 2.74
Hg  0.5639  0.3139  0.2500  2 Te 2.74
Hg  0.7500  0.9361  0.1861  2 Te 2.74
Hg  0.9361  0.1861  0.7500  2 Te 2.74
Te  0.0000  0.9556  0.5000  3 Hg 2.74
Te  0.5000  0.0000  0.9556  3 Hg 2.74
Te  0.5444  0.5444  0.5444  3 Hg 2.74
Te  0.9556  0.5000  0.0000  3 Hg 2.74
Br  0.0000  0.4903  0.5000  3 Hg 3.10
Br  0.0097  0.0097  0.0097  3 Hg 3.10
Br  0.4903  0.5000  0.0000  3 Hg 3.10
Br  0.5000  0.0000  0.4903  3 Hg 3.10

Entry 4:
HoBr3: relaxed, GGA-PBE.

Computed properties:
DFT total energy: -4.2134 eV per atom
space-group type: P6_3/mmc

a b c (Å): 10.1596 10.1596 3.7402
angles (deg): 90.00 90.00 120.00
Last column: nearest neighbours and their distance in Å.
Sites, in units of the cell vectors:
Ho  0.3333  0.6667  0.2500  6 Br 2.83
Ho  0.6667  0.3333  0.7500  6 Br 2.83
Br  0.2126  0.4251  0.7500  2 Ho 2.83
Br  0.2126  0.7874  0.7500  2 Ho 2.83
Br  0.4251  0.2126  0.2500  2 Ho 2.83
Br  0.5749  0.7874  0.7500  2 Ho 2.83
Br  0.7874  0.2126  0.2500  2 Ho 2.83
Br  0.7874  0.5749  0.2500  2 Ho 2.83

Entry 5:
HoBr2: relaxed, GGA-PBE.

Computed properties:
DFT total energy: -4.1195 eV per atom
magnetization: 0.36 μB/cell
space-group type: P4_2/mnm

a b c (Å): 7.2775 7.2775 3.6385
angles (deg): 90.00 90.00 90.00
Last column: nearest neighbours and their distance in Å.
Sites, in units of the cell vectors:
Ho  0.0000  0.0000  0.0000  6 Br 2.88-2.91
Ho  0.5000  0.5000  0.5000  6 Br 2.88-2.91
Br  0.2175  0.2175  0.5000  3 Ho 2.88-2.91
Br  0.2825  0.7175  0.0000  3 Ho 2.88-2.91
Br  0.7175  0.2825  0.0000  3 Ho 2.88-2.91
Br  0.7825  0.7825  0.5000  3 Ho 2.88-2.91

Entry 6:
Na3HoBr6: relaxed, GGA-PBE.

Computed properties:
DFT total energy: -3.5316 eV per atom
space-group type: P2_1/c

a b c (Å): 7.4002 7.7399 13.1744
angles (deg): 90.00 124.07 90.00
Last column: nearest neighbours and their distance in Å.
Sites, in units of the cell vectors:
Na  0.0000  0.0000  0.0000  6 Br 2.94-3.07
Na  0.0000  0.5000  0.5000  6 Br 2.94-3.07
Na  0.2277  0.0600  0.7435  4 Br 2.97-3.11
Na  0.2277  0.4400  0.2435  4 Br 2.97-3.11
Na  0.7723  0.5600  0.7565  4 Br 2.97-3.11
Na  0.7723  0.9400  0.2565  4 Br 2.97-3.11
Ho  0.5000  0.0000  0.5000  6 Br 2.78-2.83
Ho  0.5000  0.5000  0.0000  6 Br 2.78-2.83
Br  0.1233  0.1776  0.4356  1 Ho 2.78, 2 Na 2.94-2.97
Br  0.1233  0.3224  0.9356  1 Ho 2.78, 2 Na 2.94-2.97
Br  0.2546  0.6961  0.4223  1 Ho 2.79, 2 Na 3.00-3.01
Br  0.2546  0.8039  0.9223  1 Ho 2.79, 2 Na 3.00-3.01
Br  0.3950  0.0658  0.2616  1 Ho 2.83, 3 Na 2.99-3.11
Br  0.3950  0.4342  0.7616  1 Ho 2.83, 3 Na 2.99-3.11
Br  0.6050  0.5658  0.2384  1 Ho 2.83, 3 Na 2.99-3.11
Br  0.6050  0.9342  0.7384  1 Ho 2.83, 3 Na 2.99-3.11
Br  0.7454  0.1961  0.0777  1 Ho 2.79, 2 Na 3.00-3.01
Br  0.7454  0.3039  0.5777  1 Ho 2.79, 2 Na 3.00-3.01
Br  0.8767  0.6776  0.0644  1 Ho 2.78, 2 Na 2.94-2.97
Br  0.8767  0.8224  0.5644  1 Ho 2.78, 2 Na 2.94-2.97

Entry 7:
HoBr3O18: relaxed, GGA-PBE.

Computed properties:
DFT total energy: -4.5178 eV per atom
magnetization: 8.00 μB/cell
space-group type: Cmc2_1

a b c (Å): 12.8533 12.8533 6.6112
angles (deg): 90.00 90.00 128.53
Last column: nearest neighbours and their distance in Å.
Sites, in units of the cell vectors:
Ho  0.1512  0.8488  0.5000  5 O 2.22-2.38
Ho  0.8488  0.1512  0.0000  5 O 2.22-2.38
Br  0.1759  0.3202  0.1841  3 O 1.65-1.76
Br  0.3202  0.1759  0.6841  3 O 1.65-1.76
Br  0.3987  0.6013  0.6775  1 O 1.72
Br  0.6013  0.3987  0.1775  1 O 1.72
Br  0.6798  0.8241  0.1841  3 O 1.65-1.76
Br  0.8241  0.6798  0.6841  3 O 1.65-1.76
O  0.0062  0.7965  0.2256  1 O 1.34
O  0.0339  0.3109  0.1614  1 Br 1.76
O  0.0539  0.9461  0.5452  1 Ho 2.27, 2 O 2.31
O  0.0892  0.9108  0.1250  2 O 1.34
O  0.1157  0.1713  0.2790  1 Br 1.68
O  0.1175  0.6154  0.6035  1 O 1.23
O  0.1205  0.6817  0.2213  1 O 1.32
O  0.1506  0.5679  0.7246  1 O 1.23
O  0.1713  0.1157  0.7790  1 Br 1.68
O  0.2035  0.9938  0.2256  1 O 1.34
O  0.2356  0.7644  0.1262  2 O 1.32
O  0.2679  0.4287  0.3661  1 Br 1.65
O  0.3109  0.0339  0.6614  1 Br 1.76
O  0.3183  0.8795  0.2213  1 O 1.32
O  0.3846  0.8825  0.6035  1 O 1.23
O  0.4003  0.5997  0.9371  1 Br 1.72
O  0.4287  0.2679  0.8661  1 Br 1.65
O  0.4321  0.8494  0.7246  1 O 1.23
O  0.5679  0.1506  0.2246  1 O 1.23
O  0.5713  0.7321  0.3661  1 Br 1.65
O  0.5997  0.4003  0.4371  1 Br 1.72
O  0.6154  0.1175  0.1035  1 O 1.23
O  0.6817  0.1205  0.7213  1 O 1.32
O  0.6891  0.9661  0.1614  1 Br 1.76
O  0.7321  0.5713  0.8661  1 Br 1.65
O  0.7644  0.2356  0.6262  2 O 1.32
O  0.7965  0.0062  0.7256  1 O 1.34
O  0.8287  0.8843  0.2790  1 Br 1.68
O  0.8494  0.4321  0.2246  1 O 1.23
O  0.8795  0.3183  0.7213  1 O 1.32
O  0.8825  0.3846  0.1035  1 O 1.23
O  0.8843  0.8287  0.7790  1 Br 1.68
O  0.9108  0.0892  0.6250  2 O 1.34
O  0.9461  0.0539  0.0452  1 Ho 2.27, 2 O 2.31
O  0.9661  0.6891  0.6614  1 Br 1.76
O  0.9938  0.2035  0.7256  1 O 1.34

Entry 8:
Ho4RuBr5: relaxed, GGA-PBE.

Computed properties:
DFT total energy: -4.9898 eV per atom
magnetization: 0.27 μB/cell
space-group type: P4_2/nnm

a b c (Å): 11.8291 11.8291 17.1883
angles (deg): 90.00 90.00 90.00
Last column: nearest neighbours and their distance in Å.
Sites, in units of the cell vectors:
Ho  0.0778  0.1338  0.1735  1 Ru 2.68, 3 Br 2.90-2.97
Ho  0.0778  0.3662  0.3265  1 Ru 2.68, 3 Br 2.90-2.97
Ho  0.1188  0.6188  0.8428  3 Ru 2.81-2.83, 1 Br 3.06
Ho  0.1188  0.8812  0.6572  3 Ru 2.81-2.83, 1 Br 3.06
Ho  0.1338  0.0778  0.8265  1 Ru 2.68, 3 Br 2.90-2.97
Ho  0.1338  0.4222  0.6735  1 Ru 2.68, 3 Br 2.90-2.97
Ho  0.1369  0.6369  0.5233  1 Ru 2.70, 2 Br 2.92
Ho  0.1369  0.8631  0.9767  1 Ru 2.70, 2 Br 2.92
Ho  0.3631  0.6369  0.9767  1 Ru 2.70, 2 Br 2.92
Ho  0.3631  0.8631  0.5233  1 Ru 2.70, 2 Br 2.92
Ho  0.3662  0.0778  0.6735  1 Ru 2.68, 3 Br 2.90-2.97
Ho  0.3662  0.4222  0.8265  1 Ru 2.68, 3 Br 2.90-2.97
Ho  0.3812  0.6188  0.6572  3 Ru 2.81-2.83, 1 Br 3.06
Ho  0.3812  0.8812  0.8428  3 Ru 2.81-2.83, 1 Br 3.06
Ho  0.4222  0.1338  0.3265  1 Ru 2.68, 3 Br 2.90-2.97
Ho  0.4222  0.3662  0.1735  1 Ru 2.68, 3 Br 2.90-2.97
Ho  0.5778  0.6338  0.8265  1 Ru 2.68, 3 Br 2.90-2.97
Ho  0.5778  0.8662  0.6735  1 Ru 2.68, 3 Br 2.90-2.97
Ho  0.6188  0.1188  0.1572  3 Ru 2.81-2.83, 1 Br 3.06
Ho  0.6188  0.3812  0.3428  3 Ru 2.81-2.83, 1 Br 3.06
Ho  0.6338  0.5778  0.1735  1 Ru 2.68, 3 Br 2.90-2.97
Ho  0.6338  0.9222  0.3265  1 Ru 2.68, 3 Br 2.90-2.97
Ho  0.6369  0.1369  0.4767  1 Ru 2.70, 2 Br 2.92
Ho  0.6369  0.3631  0.0233  1 Ru 2.70, 2 Br 2.92
Ho  0.8631  0.1369  0.0233  1 Ru 2.70, 2 Br 2.92
Ho  0.8631  0.3631  0.4767  1 Ru 2.70, 2 Br 2.92
Ho  0.8662  0.5778  0.3265  1 Ru 2.68, 3 Br 2.90-2.97
Ho  0.8662  0.9222  0.1735  1 Ru 2.68, 3 Br 2.90-2.97
Ho  0.8812  0.1188  0.3428  3 Ru 2.81-2.83, 1 Br 3.06
Ho  0.8812  0.3812  0.1572  3 Ru 2.81-2.83, 1 Br 3.06
Ho  0.9222  0.6338  0.6735  1 Ru 2.68, 3 Br 2.90-2.97
Ho  0.9222  0.8662  0.8265  1 Ru 2.68, 3 Br 2.90-2.97
Ru  0.1479  0.6479  0.6803  6 Ho 2.68-2.83
Ru  0.1479  0.8521  0.8197  6 Ho 2.68-2.83
Ru  0.3521  0.6479  0.8197  6 Ho 2.68-2.83
Ru  0.3521  0.8521  0.6803  6 Ho 2.68-2.83
Ru  0.6479  0.1479  0.3197  6 Ho 2.68-2.83
Ru  0.6479  0.3521  0.1803  6 Ho 2.68-2.83
Ru  0.8521  0.1479  0.1803  6 Ho 2.68-2.83
Ru  0.8521  0.3521  0.3197  6 Ho 2.68-2.83
Br  0.1088  0.6088  0.3395  3 Ho 2.90-3.19
Br  0.1088  0.8912  0.1605  3 Ho 2.90-3.19
Br  0.1173  0.1173  0.0000  4 Ho 3.02-3.04
Br  0.1173  0.3827  0.5000  4 Ho 3.02-3.04
Br  0.1248  0.6248  0.0205  3 Ho 2.92-3.06
Br  0.1248  0.8752  0.4795  3 Ho 2.92-3.06
Br  0.1266  0.1508  0.6621  4 Ho 2.96-3.22
Br  0.1266  0.3492  0.8379  4 Ho 2.96-3.22
Br  0.1508  0.1266  0.3379  4 Ho 2.96-3.22
Br  0.1508  0.3734  0.1621  4 Ho 2.96-3.22
Br  0.3492  0.1266  0.1621  4 Ho 2.96-3.22
Br  0.3492  0.3734  0.3379  4 Ho 2.96-3.22
Br  0.3734  0.1508  0.8379  4 Ho 2.96-3.22
Br  0.3734  0.3492  0.6621  4 Ho 2.96-3.22
Br  0.3752  0.6248  0.4795  3 Ho 2.92-3.06
Br  0.3752  0.8752  0.0205  3 Ho 2.92-3.06
Br  0.3827  0.1173  0.5000  4 Ho 3.02-3.04
Br  0.3827  0.3827  0.0000  4 Ho 3.02-3.04
Br  0.3912  0.6088  0.1605  3 Ho 2.90-3.19
Br  0.3912  0.8912  0.3395  3 Ho 2.90-3.19
Br  0.6088  0.1088  0.6605  3 Ho 2.90-3.19
Br  0.6088  0.3912  0.8395  3 Ho 2.90-3.19
Br  0.6173  0.6173  0.0000  4 Ho 3.02-3.04
Br  0.6173  0.8827  0.5000  4 Ho 3.02-3.04
Br  0.6248  0.1248  0.9795  3 Ho 2.92-3.06
Br  0.6248  0.3752  0.5205  3 Ho 2.92-3.06
Br  0.6266  0.6508  0.3379  4 Ho 2.96-3.22
Br  0.6266  0.8492  0.1621  4 Ho 2.96-3.22
Br  0.6508  0.6266  0.6621  4 Ho 2.96-3.22
Br  0.6508  0.8734  0.8379  4 Ho 2.96-3.22
Br  0.8492  0.6266  0.8379  4 Ho 2.96-3.22
Br  0.8492  0.8734  0.6621  4 Ho 2.96-3.22
Br  0.8734  0.6508  0.1621  4 Ho 2.96-3.22
Br  0.8734  0.8492  0.3379  4 Ho 2.96-3.22
Br  0.8752  0.1248  0.5205  3 Ho 2.92-3.06
Br  0.8752  0.3752  0.9795  3 Ho 2.92-3.06
Br  0.8827  0.6173  0.5000  4 Ho 3.02-3.04
Br  0.8827  0.8827  0.0000  4 Ho 3.02-3.04
Br  0.8912  0.1088  0.8395  3 Ho 2.90-3.19
Br  0.8912  0.3912  0.6605  3 Ho 2.90-3.19